(1)
First-principles (PBE-GGA) data for CoBW after structural relaxation, as listed in Materials Project.

a b c (Å): 5.7456 3.2597 6.6344
angles (deg): 90.00 90.00 90.00
Fractional coordinates of all 12 atoms:
1 Co 0.1428 0.2500 0.0579
2 Co 0.3572 0.7500 0.5579
3 Co 0.6428 0.2500 0.4421
4 Co 0.8572 0.7500 0.9421
5 B 0.2305 0.7500 0.8740
6 B 0.2695 0.2500 0.3740
7 B 0.7305 0.7500 0.6260
8 B 0.7695 0.2500 0.1260
9 W 0.0277 0.2500 0.6748
10 W 0.4723 0.7500 0.1748
11 W 0.5277 0.2500 0.8252
12 W 0.9723 0.7500 0.3252

=====

(2)
First-principles (PBE-GGA) data for Co21B6W2 after structural relaxation, as listed in Materials Project.

a b c (Å): 7.3987 7.3987 7.3987
angles (deg): 60.00 60.00 60.00
Fractional coordinates of all 29 atoms:
1 Co 0.0000 0.0000 0.0000
2 Co 0.0000 0.0000 0.3380
3 Co 0.0000 0.0000 0.6620
4 Co 0.0000 0.3380 0.0000
5 Co 0.0000 0.3380 0.6620
6 Co 0.0000 0.6620 0.0000
7 Co 0.0000 0.6620 0.3380
8 Co 0.1457 0.6181 0.6181
9 Co 0.3380 0.0000 0.0000
10 Co 0.3380 0.0000 0.6620
11 Co 0.3380 0.6620 0.0000
12 Co 0.3819 0.3819 0.3819
13 Co 0.3819 0.3819 0.8543
14 Co 0.3819 0.8543 0.3819
15 Co 0.6181 0.1457 0.6181
16 Co 0.6181 0.6181 0.1457
17 Co 0.6181 0.6181 0.6181
18 Co 0.6620 0.0000 0.0000
19 Co 0.6620 0.0000 0.3380
20 Co 0.6620 0.3380 0.0000
21 Co 0.8543 0.3819 0.3819
22 B 0.2751 0.2751 0.7249
23 B 0.2751 0.7249 0.2751
24 B 0.2751 0.7249 0.7249
25 B 0.7249 0.2751 0.2751
26 B 0.7249 0.2751 0.7249
27 B 0.7249 0.7249 0.2751
28 W 0.2500 0.2500 0.2500
29 W 0.7500 0.7500 0.7500

=====

(3)
First-principles (PBE-GGA) data for YCo3B2 after structural relaxation, as listed in Materials Project.

a b c (Å): 5.0217 5.0217 3.0059
angles (deg): 90.00 90.00 120.00
Fractional coordinates of all 6 atoms:
1 Y 0.0000 0.0000 0.0000
2 Co 0.0000 0.5000 0.5000
3 Co 0.5000 0.0000 0.5000
4 Co 0.5000 0.5000 0.5000
5 B 0.3333 0.6667 0.0000
6 B 0.6667 0.3333 0.0000

=====

(4)
First-principles (PBE-GGA) data for YCoB4 after structural relaxation, as listed in Materials Project.

a b c (Å): 5.9058 11.4287 3.3952
angles (deg): 90.00 90.00 90.00
Fractional coordinates of all 24 atoms:
1 Y 0.1274 0.1500 0.0000
2 Y 0.3726 0.6500 0.0000
3 Y 0.6274 0.3500 0.0000
4 Y 0.8726 0.8500 0.0000
5 Co 0.1347 0.4107 0.0000
6 Co 0.3653 0.9107 0.0000
7 Co 0.6347 0.0893 0.0000
8 Co 0.8653 0.5893 0.0000
9 B 0.0233 0.6908 0.5000
10 B 0.1109 0.5458 0.5000
11 B 0.1391 0.9677 0.5000
12 B 0.2187 0.8155 0.5000
13 B 0.2813 0.3155 0.5000
14 B 0.3609 0.4677 0.5000
15 B 0.3891 0.0458 0.5000
16 B 0.4767 0.1908 0.5000
17 B 0.5233 0.8092 0.5000
18 B 0.6109 0.9542 0.5000
19 B 0.6391 0.5323 0.5000
20 B 0.7187 0.6845 0.5000
21 B 0.7813 0.1845 0.5000
22 B 0.8609 0.0323 0.5000
23 B 0.8891 0.4542 0.5000
24 B 0.9767 0.3092 0.5000

=====

(5)
First-principles (PBE-GGA) data for YCo2B2 after structural relaxation, as listed in Materials Project.

a b c (Å): 5.3470 5.3470 5.3470
angles (deg): 141.20 141.20 56.03
Fractional coordinates of all 5 atoms:
1 Y 0.0000 0.0000 0.0000
2 Co 0.2500 0.7500 0.5000
3 Co 0.7500 0.2500 0.5000
4 B 0.3477 0.3477 0.0000
5 B 0.6523 0.6523 0.0000

=====

(6)
First-principles (PBE-GGA) data for Y4Co3B6 after structural relaxation, as listed in Materials Project.

a b c (Å): 7.9584 7.9584 7.9584
angles (deg): 39.17 39.17 39.17
Fractional coordinates of all 13 atoms:
1 Y 0.0892 0.0892 0.0892
2 Y 0.2444 0.2444 0.2444
3 Y 0.7556 0.7556 0.7556
4 Y 0.9108 0.9108 0.9108
5 Co 0.3873 0.3873 0.3873
6 Co 0.5000 0.5000 0.5000
7 Co 0.6127 0.6127 0.6127
8 B 0.0000 0.3321 0.6679
9 B 0.0000 0.6679 0.3321
10 B 0.3321 0.0000 0.6679
11 B 0.3321 0.6679 0.0000
12 B 0.6679 0.0000 0.3321
13 B 0.6679 0.3321 0.0000

=====

(7)
First-principles (PBE-GGA) data for Y4CoB13 after structural relaxation, as listed in Materials Project.

a b c (Å): 7.3242 7.3242 6.9199
angles (deg): 90.00 90.00 90.00
Fractional coordinates of all 36 atoms:
1 Y 0.1808 0.3152 0.0000
2 Y 0.1848 0.3192 0.5000
3 Y 0.3152 0.8192 0.0000
4 Y 0.3192 0.8152 0.5000
5 Y 0.6808 0.1848 0.5000
6 Y 0.6848 0.1808 0.0000
7 Y 0.8152 0.6808 0.5000
8 Y 0.8192 0.6848 0.0000
9 Co 0.0000 0.0000 0.5000
10 Co 0.5000 0.5000 0.0000
11 B 0.0000 0.0000 0.0000
12 B 0.0393 0.8304 0.2464
13 B 0.0393 0.8304 0.7536
14 B 0.0910 0.5910 0.2500
15 B 0.0910 0.5910 0.7500
16 B 0.1696 0.0393 0.2464
17 B 0.1696 0.0393 0.7536
18 B 0.3304 0.5393 0.2536
19 B 0.3304 0.5393 0.7464
20 B 0.4090 0.0910 0.2500
21 B 0.4090 0.0910 0.7500
22 B 0.4607 0.3304 0.2536
23 B 0.4607 0.3304 0.7464
24 B 0.5000 0.5000 0.5000
25 B 0.5393 0.6696 0.2536
26 B 0.5393 0.6696 0.7464
27 B 0.5910 0.9090 0.2500
28 B 0.5910 0.9090 0.7500
29 B 0.6696 0.4607 0.2536
30 B 0.6696 0.4607 0.7464
31 B 0.8304 0.9607 0.2464
32 B 0.8304 0.9607 0.7536
33 B 0.9090 0.4090 0.2500
34 B 0.9090 0.4090 0.7500
35 B 0.9607 0.1696 0.2464
36 B 0.9607 0.1696 0.7536

=====

(8)
First-principles (PBE-GGA) data for Cr2B after structural relaxation, as listed in Materials Project.

a b c (Å): 4.2178 4.2178 4.2178
angles (deg): 104.93 104.93 118.99
Fractional coordinates of all 6 atoms:
1 Cr 0.1661 0.6661 0.8322
2 Cr 0.3339 0.1661 0.5000
3 Cr 0.6661 0.8339 0.5000
4 Cr 0.8339 0.3339 0.1678
5 B 0.2500 0.2500 0.0000
6 B 0.7500 0.7500 0.0000

=====

E_tot? In order: -9.35; -7.64; -7.34; -7.30; -7.37; -7.06; -7.12; -9.03 eV/atom.
DFT formation energy? In order: -0.4329; -0.2207; -0.4844; -0.5814; -0.5613; -0.3448; -0.4608; -0.3709 eV/atom.